No. 1
# Li2TiV3O8

A relaxed Li2TiV3O8 crystal (GGA+U, Materials Project).

Output
size of the total moment	1.002	μB/f.u.
energy of formation from the pure elements	-2.7050	eV/atom

a = 5.919 Å, b = 5.952 Å, c = 9.570 Å
α = 89.68°, β = 89.66°, γ = 60.35°
Element x y z (fractional)
Li: 0.000 0.000 0.000
Li: 0.004 0.989 0.500
Li: 0.351 0.327 0.100
Li: 0.685 0.660 0.600
Ti: 0.342 0.331 0.498
Ti: 0.673 0.653 0.999
V: 0.180 0.652 0.783
V: 0.183 0.167 0.781
V: 0.354 0.825 0.282
V: 0.664 0.165 0.772
V: 0.837 0.821 0.272
V: 0.842 0.338 0.282
O: 0.002 0.987 0.187
O: 0.057 0.469 0.653
O: 0.178 0.162 0.399
O: 0.184 0.657 0.400
O: 0.343 0.826 0.900
O: 0.372 0.307 0.892
O: 0.497 0.472 0.654
O: 0.503 0.034 0.648
O: 0.532 0.518 0.153
O: 0.536 0.956 0.152
O: 0.671 0.170 0.398
O: 0.693 0.677 0.393
O: 0.837 0.335 0.902
O: 0.844 0.822 0.896
O: 0.975 0.519 0.152
O: 0.996 0.008 0.688

=====

No. 2
# Li2TiV3O8

A relaxed Li2TiV3O8 crystal (GGA+U, Materials Project).

Output
size of the total moment	0.999	μB/f.u.
energy of formation from the pure elements	-2.6623	eV/atom

a = 5.931 Å, b = 6.036 Å, c = 8.583 Å
α = 90.85°, β = 90.13°, γ = 90.42°
Element x y z (fractional)
Li: 0.000 0.000 0.000
Li: 0.000 0.500 0.500
Li: 0.500 0.000 0.000
Li: 0.500 0.500 0.500
Ti: 0.248 0.255 0.749
Ti: 0.752 0.745 0.251
V: 0.000 0.000 0.500
V: 0.000 0.500 0.000
V: 0.252 0.751 0.251
V: 0.500 0.000 0.500
V: 0.500 0.500 0.000
V: 0.748 0.249 0.749
O: 0.001 0.035 0.740
O: 0.006 0.538 0.245
O: 0.248 0.266 0.980
O: 0.249 0.733 0.019
O: 0.251 0.766 0.482
O: 0.252 0.235 0.520
O: 0.494 0.961 0.257
O: 0.499 0.466 0.758
O: 0.501 0.534 0.242
O: 0.506 0.039 0.743
O: 0.748 0.765 0.480
O: 0.749 0.234 0.518
O: 0.751 0.267 0.981
O: 0.752 0.734 0.020
O: 0.994 0.462 0.755
O: 0.999 0.965 0.260

=====

No. 3
# Li2TiV3O8

A relaxed Li2TiV3O8 crystal (GGA+U, Materials Project).

Output
size of the total moment	0.000	μB/f.u.
energy of formation from the pure elements	-2.6645	eV/atom

a = 5.992 Å, b = 6.021 Å, c = 10.317 Å
α = 73.40°, β = 89.38°, γ = 60.48°
Element x y z (fractional)
Li: 0.000 0.000 0.000
Li: 0.244 0.004 0.751
Li: 0.500 0.000 0.500
Li: 0.756 0.996 0.249
Ti: 0.251 0.481 0.251
Ti: 0.749 0.519 0.749
V: 0.000 0.500 0.000
V: 0.000 0.500 0.500
V: 0.252 0.499 0.751
V: 0.500 0.500 0.000
V: 0.500 0.500 0.500
V: 0.748 0.501 0.249
O: 0.094 0.285 0.864
O: 0.112 0.287 0.370
O: 0.133 0.701 0.383
O: 0.152 0.717 0.885
O: 0.348 0.284 0.616
O: 0.361 0.287 0.121
O: 0.390 0.701 0.125
O: 0.407 0.715 0.635
O: 0.593 0.285 0.365
O: 0.610 0.299 0.875
O: 0.639 0.713 0.879
O: 0.652 0.716 0.384
O: 0.848 0.283 0.115
O: 0.867 0.299 0.617
O: 0.888 0.713 0.630
O: 0.906 0.715 0.136

=====

No. 4
# Li2TiV3O8

A relaxed Li2TiV3O8 crystal (GGA+U, Materials Project).

Output
size of the total moment	1.004	μB/f.u.
energy of formation from the pure elements	-2.7247	eV/atom

a = 5.988 Å, b = 6.004 Å, c = 10.287 Å
α = 73.50°, β = 73.89°, γ = 60.48°
Element x y z (fractional)
Li: 0.063 0.058 0.311
Li: 0.434 0.441 0.188
Li: 0.566 0.559 0.812
Li: 0.937 0.942 0.689
Ti: 0.248 0.260 0.750
Ti: 0.752 0.740 0.250
V: 0.000 0.000 0.000
V: 0.000 0.500 0.000
V: 0.000 0.500 0.500
V: 0.500 0.000 0.000
V: 0.500 0.000 0.500
V: 0.500 0.500 0.500
O: 0.085 0.649 0.126
O: 0.137 0.130 0.105
O: 0.148 0.144 0.622
O: 0.154 0.593 0.625
O: 0.364 0.351 0.881
O: 0.370 0.385 0.395
O: 0.375 0.909 0.880
O: 0.407 0.851 0.381
O: 0.593 0.149 0.619
O: 0.625 0.091 0.120
O: 0.630 0.615 0.605
O: 0.636 0.649 0.119
O: 0.846 0.407 0.375
O: 0.852 0.856 0.378
O: 0.863 0.870 0.895
O: 0.915 0.351 0.874

=====

No. 5
# Li2TiV3O8

A relaxed Li2TiV3O8 crystal (GGA+U, Materials Project).

Output
size of the total moment	5.000	μB/f.u.
energy of formation from the pure elements	-2.7245	eV/atom

a = 8.355 Å, b = 8.505 Å, c = 8.521 Å
α = 90.00°, β = 90.00°, γ = 90.00°
Element x y z (fractional)
Li: 0.004 0.003 0.002
Li: 0.249 0.250 0.251
Li: 0.251 0.750 0.751
Li: 0.496 0.997 0.502
Li: 0.504 0.497 0.998
Li: 0.749 0.250 0.749
Li: 0.751 0.750 0.249
Li: 0.996 0.503 0.498
Ti: 0.120 0.874 0.378
Ti: 0.380 0.126 0.878
Ti: 0.620 0.626 0.622
Ti: 0.880 0.374 0.122
V: 0.126 0.126 0.624
V: 0.128 0.378 0.876
V: 0.132 0.627 0.126
V: 0.368 0.373 0.626
V: 0.372 0.622 0.376
V: 0.374 0.874 0.124
V: 0.626 0.374 0.376
V: 0.628 0.122 0.124
V: 0.632 0.873 0.874
V: 0.868 0.127 0.374
V: 0.872 0.878 0.624
V: 0.874 0.626 0.876
O: 0.107 0.111 0.384
O: 0.113 0.390 0.119
O: 0.113 0.883 0.607
O: 0.117 0.614 0.892
O: 0.129 0.642 0.362
O: 0.132 0.861 0.139
O: 0.143 0.138 0.861
O: 0.145 0.372 0.631
O: 0.355 0.628 0.131
O: 0.357 0.862 0.361
O: 0.368 0.139 0.639
O: 0.371 0.358 0.862
O: 0.383 0.386 0.392
O: 0.387 0.117 0.107
O: 0.387 0.610 0.619
O: 0.393 0.889 0.884
O: 0.607 0.389 0.616
O: 0.613 0.110 0.881
O: 0.613 0.617 0.393
O: 0.617 0.886 0.108
O: 0.629 0.858 0.638
O: 0.632 0.639 0.861
O: 0.643 0.362 0.139
O: 0.645 0.128 0.369
O: 0.855 0.872 0.869
O: 0.857 0.638 0.639
O: 0.868 0.361 0.361
O: 0.871 0.142 0.138
O: 0.883 0.114 0.608
O: 0.887 0.383 0.893
O: 0.887 0.890 0.381
O: 0.893 0.611 0.116

=====

No. 6
# Li2Ti3VO8

A relaxed Li2Ti3VO8 crystal (GGA+U, Materials Project).

Output
size of the total moment	3.000	μB/f.u.
energy of formation from the pure elements	-3.0746	eV/atom

a = 5.948 Å, b = 5.948 Å, c = 9.812 Å
α = 90.00°, β = 90.00°, γ = 120.00°
Element x y z (fractional)
Li: 0.000 0.000 0.000
Li: 0.000 0.000 0.500
Li: 0.333 0.667 0.393
Li: 0.667 0.333 0.893
Ti: 0.168 0.336 0.716
Ti: 0.168 0.832 0.716
Ti: 0.336 0.168 0.216
Ti: 0.664 0.832 0.716
Ti: 0.832 0.168 0.216
Ti: 0.832 0.664 0.216
V: 0.333 0.667 0.987
V: 0.667 0.333 0.487
O: 0.000 0.000 0.316
O: 0.000 0.000 0.816
O: 0.035 0.518 0.831
O: 0.158 0.316 0.108
O: 0.158 0.842 0.108
O: 0.316 0.158 0.608
O: 0.333 0.667 0.607
O: 0.482 0.518 0.831
O: 0.482 0.965 0.831
O: 0.518 0.035 0.331
O: 0.518 0.482 0.331
O: 0.667 0.333 0.107
O: 0.684 0.842 0.108
O: 0.842 0.158 0.608
O: 0.842 0.684 0.608
O: 0.965 0.482 0.331

=====

No. 7
# Li3Ti3VO8

A relaxed Li3Ti3VO8 crystal (GGA+U, Materials Project).

Output
size of the total moment	3.998	μB/f.u.
energy of formation from the pure elements	-2.9197	eV/atom

a = 5.932 Å, b = 5.932 Å, c = 6.019 Å
α = 119.46°, β = 119.46°, γ = 59.98°
Element x y z (fractional)
Li: 0.000 0.000 0.000
Li: 0.000 0.500 0.000
Li: 0.500 0.000 0.000
Ti: 0.000 0.500 0.500
Ti: 0.500 0.000 0.500
Ti: 0.500 0.500 0.500
V: 0.000 0.000 0.500
O: 0.240 0.738 0.720
O: 0.241 0.241 0.720
O: 0.255 0.255 0.265
O: 0.262 0.760 0.280
O: 0.738 0.240 0.720
O: 0.745 0.745 0.735
O: 0.759 0.759 0.280
O: 0.760 0.262 0.280

=====

No. 8
# Li4Ti2V5O12

A relaxed Li4Ti2V5O12 crystal (GGA+U, Materials Project).

Output
size of the total moment	13.000	μB/f.u.
energy of formation from the pure elements	-2.6106	eV/atom

a = 5.130 Å, b = 9.077 Å, c = 9.992 Å
α = 90.00°, β = 101.54°, γ = 90.00°
Element x y z (fractional)
Li: 0.005 0.000 0.258
Li: 0.008 0.839 0.740
Li: 0.248 0.836 0.503
Li: 0.493 0.830 0.253
Li: 0.507 0.330 0.747
Li: 0.752 0.336 0.497
Li: 0.992 0.339 0.260
Li: 0.995 0.500 0.742
Ti: 0.255 0.666 0.998
Ti: 0.261 0.163 0.510
Ti: 0.739 0.663 0.490
Ti: 0.745 0.166 0.002
V: 0.000 0.167 0.752
V: 0.000 0.667 0.248
V: 0.249 0.343 0.006
V: 0.253 0.002 0.995
V: 0.254 0.496 0.501
V: 0.497 0.677 0.742
V: 0.503 0.177 0.258
V: 0.746 0.996 0.499
V: 0.747 0.502 0.005
V: 0.751 0.843 0.994
O: 0.109 0.011 0.617
O: 0.113 0.658 0.611
O: 0.117 0.167 0.118
O: 0.127 0.516 0.123
O: 0.138 0.319 0.626
O: 0.139 0.827 0.119
O: 0.350 0.322 0.394
O: 0.354 0.822 0.881
O: 0.367 0.512 0.878
O: 0.372 0.666 0.383
O: 0.373 0.011 0.386
O: 0.374 0.176 0.884
O: 0.626 0.676 0.116
O: 0.627 0.511 0.614
O: 0.628 0.166 0.617
O: 0.633 0.012 0.122
O: 0.646 0.322 0.119
O: 0.650 0.822 0.606
O: 0.861 0.327 0.881
O: 0.862 0.819 0.374
O: 0.873 0.016 0.877
O: 0.883 0.667 0.882
O: 0.887 0.158 0.389
O: 0.891 0.511 0.383